Record 1
Sm4Al23Ni6 r²SCAN relaxed; crystal system = monoclinic; E_form = -0.548 eV/atom; SG = C2/m, No. 12; total moment = 0.0 μB per cell
1.0
7.950 -2.037 0.000
7.950 2.037 0.000
-7.124 0.000 16.767
Sm Al Ni
4 23 6
Direct
0.071 0.071 0.407
0.235 0.235 0.782
0.765 0.765 0.218
0.929 0.929 0.593
0.032 0.032 0.783
0.069 0.069 0.940
0.108 0.108 0.160
0.124 0.124 0.596
0.223 0.223 0.324
0.246 0.246 0.955
0.297 0.297 0.479
0.356 0.356 0.141
0.409 0.409 0.721
0.410 0.410 0.951
0.419 0.419 0.312
0.500 0.500 0.500
0.581 0.581 0.688
0.590 0.590 0.049
0.591 0.591 0.279
0.644 0.644 0.859
0.703 0.703 0.521
0.754 0.754 0.045
0.777 0.777 0.676
0.876 0.876 0.404
0.892 0.892 0.840
0.931 0.931 0.060
0.968 0.968 0.217
0.189 0.189 0.067
0.273 0.273 0.602
0.493 0.493 0.865
0.507 0.507 0.135
0.727 0.727 0.398
0.811 0.811 0.933



Record 2
TbAlNi r²SCAN relaxed; crystal system = hexagonal; E_form = -0.607 eV/atom; SG = P-62m, No. 189; total moment = 0.0 μB per cell
1.0
6.937 0.000 0.000
-3.468 6.008 0.000
0.000 0.000 3.882
Tb Al Ni
3 3 3
Direct
0.000 0.582 0.000
0.418 0.418 0.000
0.582 0.000 0.000
0.000 0.232 0.500
0.232 0.000 0.500
0.768 0.768 0.500
0.000 0.000 0.000
0.333 0.667 0.500
0.667 0.333 0.500



Record 3
Tb3Al2Ni6 r²SCAN relaxed; crystal system = cubic; E_form = -0.542 eV/atom; SG = Im-3m, No. 229; total moment = 0.0 μB per cell
1.0
-4.433 4.433 4.433
4.433 -4.433 4.433
4.433 4.433 -4.433
Tb Al Ni
6 4 12
Direct
0.000 0.293 0.293
0.000 0.707 0.707
0.293 0.000 0.293
0.293 0.293 0.000
0.707 0.000 0.707
0.707 0.707 0.000
0.000 0.000 0.500
0.000 0.500 0.000
0.500 0.000 0.000
0.500 0.500 0.500
0.000 0.334 0.666
0.000 0.666 0.334
0.332 0.666 0.666
0.334 0.000 0.666
0.334 0.334 0.668
0.334 0.666 0.000
0.334 0.668 0.334
0.666 0.000 0.334
0.666 0.332 0.666
0.666 0.334 0.000
0.666 0.666 0.332
0.668 0.334 0.334



Record 4
Tb2AlNi2 r²SCAN relaxed; crystal system = orthorhombic; E_form = -0.539 eV/atom; SG = Immm, No. 71; total moment = 0.0 μB per cell
1.0
-2.088 2.686 4.147
2.088 -2.686 4.147
2.088 2.686 -4.147
Tb Al Ni
2 1 2
Direct
0.203 0.203 0.000
0.797 0.797 0.000
0.500 0.000 0.500
0.234 0.500 0.734
0.766 0.500 0.266



Record 5
TbAl3Ni2 r²SCAN relaxed; crystal system = hexagonal; E_form = -0.694 eV/atom; SG = P6/mmm, No. 191; total moment = 0.0 μB per cell
1.0
8.979 0.000 0.000
-4.489 7.776 0.000
0.000 0.000 4.041
Tb Al Ni
3 9 6
Direct
0.000 0.000 0.000
0.333 0.667 0.500
0.667 0.333 0.500
0.000 0.297 0.500
0.000 0.500 0.000
0.000 0.703 0.500
0.297 0.000 0.500
0.297 0.297 0.500
0.500 0.000 0.000
0.500 0.500 0.000
0.703 0.000 0.500
0.703 0.703 0.500
0.181 0.362 0.000
0.181 0.819 0.000
0.362 0.181 0.000
0.638 0.819 0.000
0.819 0.181 0.000
0.819 0.638 0.000



Record 6
Ti6Al16Ni7 r²SCAN relaxed; crystal system = cubic; E_form = -0.607 eV/atom; SG = Fm-3m, No. 225; total moment = 0.0 μB per cell
1.0
0.000 5.863 5.863
5.863 0.000 5.863
5.863 5.863 0.000
Ti Al Ni
6 16 7
Direct
0.183 0.183 0.817
0.183 0.817 0.183
0.183 0.817 0.817
0.817 0.183 0.183
0.817 0.183 0.817
0.817 0.817 0.183
0.143 0.619 0.619
0.163 0.163 0.163
0.163 0.163 0.511
0.163 0.511 0.163
0.381 0.381 0.381
0.381 0.381 0.857
0.381 0.857 0.381
0.489 0.837 0.837
0.511 0.163 0.163
0.619 0.143 0.619
0.619 0.619 0.143
0.619 0.619 0.619
0.837 0.489 0.837
0.837 0.837 0.489
0.837 0.837 0.837
0.857 0.381 0.381
0.000 0.000 0.500
0.000 0.500 0.000
0.000 0.500 0.500
0.500 0.000 0.000
0.500 0.000 0.500
0.500 0.500 0.000
0.500 0.500 0.500



Which value of total moment does entry 6 give?
0.0 μB per cell